The following is a PBE+U calculation of a relaxed structure of Sr10Fe10O27, from the Materials Project database.

Calculated values
* DFT total energy: -0.23601 Ha/atom
* formation energy from the elements: -2.293 eV per atom
* magnetic moment: 42.44 Bohr magnetons per cell
* space group: Pmm2 (25)

Cell: 3.866 7.910 19.703 Å, 90.00 90.00 90.00°
Element x y z (fractional)
Sr 0.000 0.267 0.098
Sr 0.000 0.250 0.301
Sr 0.000 0.242 0.504
Sr 0.000 0.257 0.698
Sr 0.000 0.265 0.899
Sr 0.000 0.733 0.098
Sr 0.000 0.750 0.301
Sr 0.000 0.758 0.504
Sr 0.000 0.743 0.698
Sr 0.000 0.735 0.899
Fe 0.500 0.000 0.008
Fe 0.500 0.000 0.200
Fe 0.500 0.000 0.400
Fe 0.500 0.000 0.599
Fe 0.500 0.000 0.795
Fe 0.500 0.500 0.998
Fe 0.500 0.500 0.202
Fe 0.500 0.500 0.400
Fe 0.500 0.500 0.598
Fe 0.500 0.500 0.800
O 0.500 0.241 0.995
O 0.500 0.237 0.200
O 0.500 0.263 0.399
O 0.500 0.252 0.600
O 0.500 0.240 0.807
O 0.500 0.759 0.995
O 0.500 0.763 0.200
O 0.500 0.737 0.399
O 0.500 0.748 0.600
O 0.500 0.760 0.807
O 0.500 0.000 0.105
O 0.500 0.000 0.294
O 0.500 0.000 0.501
O 0.500 0.000 0.699
O 0.500 0.500 0.099
O 0.500 0.500 0.305
O 0.500 0.500 0.494
O 0.500 0.500 0.702
O 0.500 0.500 0.900
O 0.000 0.000 0.987
O 0.000 0.000 0.397
O 0.000 0.000 0.600
O 0.000 0.000 0.817
O 0.000 0.500 0.001
O 0.000 0.500 0.201
O 0.000 0.500 0.599
O 0.000 0.500 0.800

---

The following is a PBE+U calculation of a relaxed structure of Sr14Fe14O39, from the Materials Project database.

Calculated values
* DFT total energy: -0.23556 Ha/atom
* formation energy from the elements: -2.278 eV per atom
* magnetic moment: 62.00 Bohr magnetons per cell
* space group: P1 (1)

Cell: 5.573 38.905 14.706 Å, 19.07 55.28 59.83°
Element x y z (fractional)
Sr 0.247 0.116 0.230
Sr 0.256 0.256 0.227
Sr 0.254 0.394 0.241
Sr 0.770 0.037 0.736
Sr 0.735 0.182 0.748
Sr 0.241 0.537 0.255
Sr 0.735 0.318 0.765
Sr 0.255 0.668 0.272
Sr 0.753 0.466 0.744
Sr 0.254 0.821 0.249
Sr 0.245 0.958 0.271
Sr 0.771 0.612 0.730
Sr 0.745 0.745 0.765
Sr 0.750 0.892 0.752
Fe 0.982 0.992 0.014
Fe 0.507 0.072 0.494
Fe 0.001 0.140 0.008
Fe 0.002 0.430 0.997
Fe 0.518 0.221 0.486
Fe 0.995 0.286 0.998
Fe 0.523 0.351 0.512
Fe 0.505 0.499 0.501
Fe 0.976 0.581 0.978
Fe 0.984 0.855 0.017
Fe 0.510 0.643 0.496
Fe 0.996 0.714 0.002
Fe 0.481 0.786 0.504
Fe 0.525 0.933 0.476
O 0.245 0.032 0.270
O 0.249 0.181 0.241
O 0.715 0.025 0.293
O 0.754 0.110 0.244
O 0.267 0.040 0.741
O 0.227 0.308 0.289
O 0.758 0.180 0.242
O 0.710 0.238 0.288
O 0.239 0.162 0.786
O 0.757 0.109 0.743
O 0.251 0.261 0.717
O 0.746 0.325 0.246
O 0.242 0.335 0.709
O 0.722 0.404 0.231
O 0.758 0.245 0.757
O 0.758 0.464 0.247
O 0.267 0.609 0.239
O 0.240 0.391 0.758
O 0.254 0.463 0.752
O 0.782 0.525 0.268
O 0.745 0.391 0.758
O 0.259 0.754 0.232
O 0.755 0.607 0.249
O 0.251 0.532 0.760
O 0.265 0.605 0.757
O 0.756 0.676 0.255
O 0.757 0.539 0.742
O 0.255 0.902 0.228
O 0.783 0.758 0.217
O 0.248 0.672 0.767
O 0.233 0.755 0.742
O 0.734 0.820 0.258
O 0.733 0.681 0.748
O 0.251 0.827 0.741
O 0.738 0.890 0.257
O 0.792 0.981 0.201
O 0.721 0.822 0.760
O 0.255 0.962 0.747
O 0.781 0.963 0.739

---

The following is a PBE+U calculation of a relaxed structure of Sr2Fe23O38, from the Materials Project database.

Calculated values
* DFT total energy: -0.24082 Ha/atom
* formation energy from the elements: -1.661 eV per atom
* excess energy over the best structure of this formula in the dataset: 10.8 meV/atom
* magnetic moment: 112.00 Bohr magnetons per cell
* space group: P1 (1)

Cell: 5.935 5.956 23.265 Å, 90.27 89.87 119.86°
Element x y z (fractional)
Sr 0.337 0.669 0.749
Sr 0.673 0.331 0.250
Fe 0.167 0.336 0.612
Fe 0.168 0.335 0.891
Fe 0.332 0.660 0.195
Fe 0.332 0.666 0.027
Fe 0.663 0.833 0.607
Fe 0.335 0.666 0.310
Fe 0.999 0.002 0.000
Fe 0.999 0.998 0.501
Fe 0.999 0.997 0.751
Fe 0.332 0.668 0.475
Fe 0.665 0.831 0.891
Fe 0.169 0.832 0.891
Fe 0.168 0.833 0.607
Fe 0.833 0.165 0.110
Fe 0.837 0.173 0.394
Fe 0.666 0.335 0.689
Fe 0.666 0.336 0.974
Fe 0.666 0.331 0.529
Fe 0.667 0.332 0.808
Fe 0.335 0.165 0.391
Fe 0.333 0.164 0.109
Fe 0.836 0.668 0.109
Fe 0.831 0.665 0.391
O 0.153 0.309 0.051
O 0.151 0.311 0.447
O 0.497 0.503 0.850
O 0.500 0.518 0.651
O 0.190 0.385 0.246
O 0.332 0.667 0.944
O 0.335 0.671 0.558
O 0.691 0.848 0.050
O 0.999 0.001 0.146
O 0.992 0.004 0.353
O 0.995 0.992 0.650
O 0.685 0.834 0.450
O 0.001 0.000 0.847
O 0.609 0.805 0.248
O 0.015 0.518 0.651
O 0.012 0.504 0.848
O 0.198 0.805 0.251
O 0.839 0.149 0.555
O 0.846 0.154 0.949
O 0.491 0.984 0.649
O 0.495 0.988 0.848
O 0.517 0.014 0.349
O 0.499 0.999 0.151
O 0.152 0.849 0.051
O 0.158 0.845 0.448
O 0.817 0.183 0.748
O 0.001 0.502 0.151
O 0.998 0.505 0.348
O 0.665 0.332 0.445
O 0.668 0.333 0.057
O 0.365 0.183 0.748
O 0.305 0.152 0.949
O 0.309 0.150 0.555
O 0.815 0.633 0.750
O 0.503 0.499 0.151
O 0.501 0.495 0.348
O 0.849 0.695 0.949
O 0.844 0.689 0.556

---

The following is a PBE+U calculation of a relaxed structure of Sr3Fe2O5, from the Materials Project database.

Calculated values
* DFT total energy: -0.23230 Ha/atom
* formation energy from the elements: -2.441 eV per atom
* excess energy over the best structure of this formula in the dataset: 0.0 meV/atom
* space group: Immm (71)

Cell: 3.532 4.022 10.939 Å, 100.59 99.29 90.00°
Element x y z (fractional)
Sr 0.312 0.312 0.623
Sr 0.688 0.688 0.377
Sr 0.500 0.500 0.000
Fe 0.097 0.097 0.194
Fe 0.903 0.903 0.806
O 0.193 0.193 0.386
O 0.807 0.807 0.614
O 0.096 0.596 0.192
O 0.904 0.404 0.808
O 0.000 0.000 0.000

---

The following is a PBE+U calculation of a relaxed structure of Sr3Fe2O7, from the Materials Project database.

Calculated values
* DFT total energy: -0.23288 Ha/atom
* formation energy from the elements: -2.393 eV per atom
* space group: I4/mmm (139)

Cell: 3.908 3.908 10.543 Å, 100.68 100.68 90.00°
Element x y z (fractional)
Sr 0.683 0.683 0.366
Sr 0.317 0.317 0.634
Sr 0.500 0.500 0.000
Fe 0.903 0.903 0.805
Fe 0.097 0.097 0.195
O 0.000 0.000 0.000
O 0.806 0.806 0.612
O 0.194 0.194 0.388
O 0.904 0.404 0.809
O 0.404 0.904 0.809
O 0.596 0.096 0.191
O 0.096 0.596 0.191

---

The following is a PBE+U calculation of a relaxed structure of Sr2Fe23O38, from the Materials Project database.

Calculated values
* DFT total energy: -0.24122 Ha/atom
* formation energy from the elements: -1.672 eV per atom
* excess energy over the best structure of this formula in the dataset: 0.0 meV/atom
* magnetic moment: 112.00 Bohr magnetons per cell
* space group: Cm (8)

Cell: 5.994 5.994 23.387 Å, 89.93 90.07 120.04°
Element x y z (fractional)
Sr 0.333 0.667 0.749
Sr 0.666 0.334 0.250
Fe 0.168 0.832 0.609
Fe 0.168 0.832 0.891
Fe 0.333 0.667 0.192
Fe 0.333 0.667 0.027
Fe 0.168 0.336 0.609
Fe 0.331 0.668 0.305
Fe 0.000 0.000 0.000
Fe 0.000 0.000 0.500
Fe 0.000 0.000 0.751
Fe 0.333 0.667 0.473
Fe 0.168 0.337 0.891
Fe 0.663 0.832 0.891
Fe 0.663 0.832 0.609
Fe 0.335 0.167 0.110
Fe 0.334 0.167 0.390
Fe 0.667 0.333 0.691
Fe 0.667 0.333 0.973
Fe 0.667 0.333 0.527
Fe 0.667 0.333 0.809
Fe 0.832 0.666 0.390
Fe 0.833 0.665 0.110
Fe 0.833 0.167 0.110
Fe 0.833 0.167 0.390
O 0.156 0.844 0.053
O 0.156 0.844 0.447
O 0.012 0.506 0.849
O 0.012 0.506 0.652
O 0.195 0.805 0.253
O 0.333 0.667 0.944
O 0.333 0.667 0.556
O 0.156 0.312 0.053
O 0.000 0.000 0.148
O 0.000 0.000 0.352
O 0.000 0.000 0.652
O 0.156 0.312 0.447
O 0.000 0.000 0.848
O 0.197 0.394 0.252
O 0.494 0.988 0.652
O 0.494 0.988 0.849
O 0.606 0.802 0.252
O 0.312 0.156 0.553
O 0.311 0.156 0.947
O 0.494 0.506 0.652
O 0.494 0.506 0.849
O 0.501 0.499 0.347
O 0.507 0.494 0.152
O 0.688 0.844 0.053
O 0.688 0.844 0.447
O 0.365 0.183 0.750
O 0.504 0.008 0.153
O 0.502 0.003 0.348
O 0.667 0.333 0.443
O 0.667 0.333 0.056
O 0.817 0.635 0.750
O 0.844 0.689 0.947
O 0.844 0.688 0.553
O 0.817 0.183 0.750
O 0.993 0.496 0.153
O 0.996 0.498 0.348
O 0.844 0.156 0.947
O 0.844 0.156 0.553

---

The following is a PBE+U calculation of a relaxed structure of Sr21Fe14O47, from the Materials Project database.

Calculated values
* DFT total energy: -0.23424 Ha/atom
* formation energy from the elements: -2.438 eV per atom
* space group: P-1 (2)

Cell: 8.766 11.942 12.398 Å, 108.14 98.14 111.53°
Element x y z (fractional)
Sr 0.000 0.000 0.000
Sr 0.848 0.000 0.289
Sr 0.354 0.366 0.844
Sr 0.646 0.634 0.156
Sr 0.506 0.637 0.441
Sr 0.791 0.633 0.869
Sr 0.494 0.363 0.559
Sr 0.290 0.000 0.435
Sr 0.777 0.362 0.987
Sr 0.561 0.000 0.859
Sr 0.152 0.000 0.711
Sr 0.439 0.000 0.141
Sr 0.639 0.366 0.273
Sr 0.078 0.634 0.299
Sr 0.935 0.635 0.583
Sr 0.223 0.638 0.013
Sr 0.065 0.365 0.417
Sr 0.209 0.367 0.131
Sr 0.922 0.366 0.701
Sr 0.710 0.000 0.565
Sr 0.361 0.634 0.727
Fe 0.393 0.192 0.998
Fe 0.263 0.210 0.289
Fe 0.109 0.192 0.569
Fe 0.737 0.790 0.711
Fe 0.174 0.808 0.860
Fe 0.022 0.790 0.140
Fe 0.891 0.808 0.431
Fe 0.681 0.194 0.426
Fe 0.541 0.194 0.713
Fe 0.826 0.192 0.140
Fe 0.978 0.210 0.860
Fe 0.319 0.806 0.574
Fe 0.459 0.806 0.287
Fe 0.607 0.808 0.002
O 0.166 0.179 0.919
O 0.687 0.821 0.860
O 0.503 0.615 0.932
O 0.466 0.191 0.853
O 0.497 0.385 0.068
O 0.370 0.398 0.354
O 0.962 0.821 0.791
O 0.678 0.809 0.361
O 0.289 0.000 0.928
O 0.177 0.181 0.416
O 0.000 0.000 0.500
O 0.313 0.179 0.140
O 0.834 0.821 0.081
O 0.630 0.602 0.646
O 0.322 0.191 0.639
O 0.058 0.615 0.792
O 0.108 0.820 0.012
O 0.913 0.602 0.073
O 0.823 0.819 0.584
O 0.609 0.192 0.069
O 0.971 0.820 0.287
O 0.452 0.180 0.347
O 0.782 0.615 0.362
O 0.892 0.180 0.988
O 0.942 0.385 0.208
O 0.610 0.191 0.568
O 0.789 0.388 0.493
O 0.655 0.386 0.783
O 0.426 0.000 0.642
O 0.104 0.809 0.502
O 0.752 0.191 0.284
O 0.574 0.000 0.358
O 0.711 0.000 0.072
O 0.246 0.820 0.219
O 0.391 0.808 0.931
O 0.087 0.398 0.927
O 0.390 0.809 0.432
O 0.345 0.614 0.217
O 0.211 0.612 0.507
O 0.038 0.179 0.209
O 0.754 0.180 0.781
O 0.534 0.809 0.147
O 0.248 0.809 0.716
O 0.896 0.191 0.498
O 0.218 0.385 0.638
O 0.029 0.180 0.713
O 0.548 0.820 0.653

---

The following is a PBE+U calculation of a relaxed structure of Sr2FeO4, from the Materials Project database.

Calculated values
* DFT total energy: -0.23218 Ha/atom
* formation energy from the elements: -2.513 eV per atom
* space group: I4/mmm (139)

Cell: 3.909 3.909 6.859 Å, 106.56 106.56 90.00°
Element x y z (fractional)
Sr 0.643 0.643 0.286
Sr 0.357 0.357 0.714
Fe 0.000 0.000 0.000
O 0.842 0.842 0.684
O 0.158 0.158 0.316
O 0.000 0.500 0.000
O 0.500 0.000 0.000